No. 1
Li7Mn4CoO12: relaxed, PBE with a Hubbard U.

Structure (CIF):
```
data_Li7Mn4CoO12
_chemical_formula_sum 'Li14 Mn8 Co2 O24'
_space_group_name_H-M_alt 'P -1'
_space_group_IT_number 2
_cell_length_a 5.9175
_cell_length_b 7.8006
_cell_length_c 9.9160
_cell_angle_alpha 90.31
_cell_angle_beta 101.06
_cell_angle_gamma 103.74
loop_
_space_group_symop_operation_xyz
'x,y,z'
'-x,-y,-z'
loop_
_atom_site_label
_atom_site_type_symbol
_atom_site_fract_x
_atom_site_fract_y
_atom_site_fract_z
Li1 Li 0.0380 0.4312 0.2409
Li2 Li 0.1235 0.2591 0.7570
Li3 Li 0.2119 0.0827 0.2568
Li4 Li 0.2500 0.5000 0.0001
Li5 Li 0.2874 0.9171 0.7434
Li6 Li 0.3755 0.7413 0.2432
Li7 Li 0.4619 0.5685 0.7593
Mn1 Mn 0.0772 0.8242 0.0033
Mn2 Mn 0.1673 0.6692 0.5007
Mn3 Mn 0.3320 0.3312 0.4992
Mn4 Mn 0.4228 0.1756 0.9966
Co1 Co 0.0000 0.0000 0.5000
Co2 Co 0.5000 0.0000 0.5000
O1 O 0.0390 0.1975 0.3819
O2 O 0.0607 0.6425 0.1176
O3 O 0.1041 0.0493 0.8948
O4 O 0.1276 0.4671 0.6195
O5 O 0.2057 0.8722 0.3861
O6 O 0.2372 0.2689 0.1091
O7 O 0.2629 0.7310 0.8908
O8 O 0.2933 0.1266 0.6131
O9 O 0.3732 0.5333 0.3805
O10 O 0.3959 0.9507 0.1052
O11 O 0.4392 0.3572 0.8821
O12 O 0.4613 0.8036 0.6176
```

Calculated values
ΔE to the lowest computed polymorph (meV/atom): 42
Energy (Ha/atom): -0.2281
Total magnetization (μB per formula unit): 0.0

No. 2
Li3MnCoO5: relaxed, PBE with a Hubbard U.

Structure (CIF):
```
data_Li3MnCoO5
_chemical_formula_sum 'Li12 Mn4 Co4 O20'
_space_group_name_H-M_alt 'C 1 2 1'
_space_group_IT_number 5
_cell_length_a 5.0269
_cell_length_b 14.6053
_cell_length_c 5.1120
_cell_angle_alpha 90.00
_cell_angle_beta 109.09
_cell_angle_gamma 90.00
loop_
_space_group_symop_operation_xyz
'x,y,z'
'-x,y,-z'
'x+1/2,y+1/2,z'
'-x+1/2,y+1/2,-z'
loop_
_atom_site_label
_atom_site_type_symbol
_atom_site_fract_x
_atom_site_fract_y
_atom_site_fract_z
Li1 Li 0.0000 0.0000 0.0000
Li2 Li 0.0000 0.0956 0.5000
Li3 Li 0.0000 0.1916 0.0000
Li4 Li 0.0000 0.3930 0.0000
Li5 Li 0.0000 0.5967 0.0000
Li6 Li 0.0000 0.7912 0.0000
Mn1 Mn 0.0000 0.4966 0.5000
Mn2 Mn 0.0000 0.8964 0.5000
Co1 Co 0.0000 0.2868 0.5000
Co2 Co 0.0000 0.6911 0.5000
O1 O 0.2234 0.5890 0.7337
O2 O 0.2365 0.7989 0.7286
O3 O 0.2471 0.7003 0.2671
O4 O 0.2490 0.3985 0.7195
O5 O 0.2491 0.4872 0.2791
```

Calculated values
ΔE to the lowest computed polymorph (meV/atom): 7
Energy (Ha/atom): -0.2187
Total magnetization (μB per formula unit): 3.0

No. 3
Li4MnCo2O7: relaxed, PBE with a Hubbard U.

Structure (CIF):
```
data_Li4MnCo2O7
_chemical_formula_sum 'Li16 Mn4 Co8 O28'
_space_group_name_H-M_alt 'C 1 2/m 1'
_space_group_IT_number 12
_cell_length_a 29.9787
_cell_length_b 2.9153
_cell_length_c 5.8889
_cell_angle_alpha 90.00
_cell_angle_beta 95.86
_cell_angle_gamma 90.00
loop_
_space_group_symop_operation_xyz
'x,y,z'
'-x,-y,-z'
'-x,y,-z'
'x,-y,z'
'x+1/2,y+1/2,z'
'-x+1/2,-y+1/2,-z'
'-x+1/2,y+1/2,-z'
'x+1/2,-y+1/2,z'
loop_
_atom_site_label
_atom_site_type_symbol
_atom_site_fract_x
_atom_site_fract_y
_atom_site_fract_z
Li1 Li 0.0000 0.0000 0.0000
Li2 Li 0.0000 0.0000 0.5000
Li3 Li 0.0662 0.5000 0.2894
Li4 Li 0.1375 0.0000 0.5656
Li5 Li 0.2116 0.5000 0.8523
Mn1 Mn 0.2111 0.5000 0.3529
Co1 Co 0.0649 0.5000 0.7718
Co2 Co 0.1366 0.0000 0.0668
O1 O 0.0059 0.5000 0.7541
O2 O 0.0704 0.0000 0.0171
O3 O 0.0696 0.0000 0.5527
O4 O 0.1360 0.5000 0.8338
O5 O 0.1386 0.5000 0.2958
O6 O 0.2110 0.0000 0.1241
O7 O 0.2125 0.0000 0.5808
```

Calculated values
ΔE to the lowest computed polymorph (meV/atom): 71
Energy (Ha/atom): -0.2133
Total magnetization (μB per formula unit): 5.0

No. 4
Li7Mn2Co3O12: relaxed, PBE with a Hubbard U.

Structure (CIF):
```
data_Li7Mn2Co3O12
_chemical_formula_sum 'Li7 Mn2 Co3 O12'
_space_group_name_H-M_alt 'P 1'
_space_group_IT_number 1
_cell_length_a 2.9766
_cell_length_b 8.0980
_cell_length_c 9.7917
_cell_angle_alpha 66.25
_cell_angle_beta 85.96
_cell_angle_gamma 89.04
loop_
_space_group_symop_operation_xyz
'x,y,z'
loop_
_atom_site_label
_atom_site_type_symbol
_atom_site_fract_x
_atom_site_fract_y
_atom_site_fract_z
Li1 Li 0.0000 0.0000 0.0000
Li2 Li 0.0014 0.6557 0.6673
Li3 Li 0.0091 0.4861 0.0091
Li4 Li 0.4841 0.8218 0.8316
Li5 Li 0.4865 0.1771 0.1607
Li6 Li 0.5054 0.4897 0.5084
Li7 Li 0.9786 0.3329 0.3219
Mn1 Mn 0.4858 0.6585 0.1615
Mn2 Mn 0.4862 0.9953 0.5004
Co1 Co 0.5015 0.3365 0.8389
Co2 Co 0.9744 0.8330 0.3283
Co3 Co 0.9956 0.1632 0.6693
O1 O 0.0133 0.7369 0.0196
O2 O 0.0234 0.9230 0.6675
O3 O 0.0261 0.2522 0.9846
O4 O 0.4540 0.8975 0.1757
O5 O 0.4596 0.2324 0.5103
O6 O 0.4903 0.5567 0.8262
O7 O 0.4982 0.4290 0.1692
O8 O 0.5119 0.7575 0.4885
O9 O 0.5257 0.1040 0.8244
O10 O 0.9576 0.0663 0.3372
O11 O 0.9614 0.6010 0.3118
O12 O 0.9723 0.3956 0.6737
```

Calculated values
ΔE to the lowest computed polymorph (meV/atom): 99
Energy (Ha/atom): -0.2142
Total magnetization (μB per formula unit): 9.9

No. 5
Li4MnCo2O7: relaxed, PBE with a Hubbard U.

Structure (CIF):
```
data_Li4MnCo2O7
_chemical_formula_sum 'Li8 Mn2 Co4 O14'
_space_group_name_H-M_alt 'P 1'
_space_group_IT_number 1
_cell_length_a 3.0304
_cell_length_b 5.0690
_cell_length_c 16.7418
_cell_angle_alpha 90.08
_cell_angle_beta 92.41
_cell_angle_gamma 91.42
loop_
_space_group_symop_operation_xyz
'x,y,z'
loop_
_atom_site_label
_atom_site_type_symbol
_atom_site_fract_x
_atom_site_fract_y
_atom_site_fract_z
Li1 Li 0.0000 0.0000 0.0000
Li2 Li 0.0614 0.6484 0.1420
Li3 Li 0.1241 0.2966 0.2844
Li4 Li 0.2779 0.5779 0.5717
Li5 Li 0.4232 0.8622 0.8581
Li6 Li 0.5623 0.1486 0.1426
Li7 Li 0.6986 0.4370 0.4271
Li8 Li 0.8504 0.7210 0.7151
Mn1 Mn 0.1993 0.9299 0.4257
Mn2 Mn 0.7912 0.0784 0.5721
Co1 Co 0.3599 0.2240 0.7171
Co2 Co 0.4935 0.5053 0.0060
Co3 Co 0.6140 0.7890 0.2773
Co4 Co 0.9192 0.3667 0.8595
O1 O 0.0504 0.3367 0.0654
O2 O 0.0634 0.9600 0.2184
O3 O 0.1923 0.6303 0.3548
O4 O 0.2107 0.2372 0.4976
O5 O 0.3612 0.9201 0.6453
O6 O 0.3900 0.5238 0.7867
O7 O 0.4417 0.2185 0.9305
O8 O 0.5211 0.7934 0.0622
O9 O 0.5989 0.5016 0.2210
O10 O 0.6378 0.0786 0.3532
O11 O 0.7728 0.7725 0.5003
O12 O 0.8388 0.3787 0.6449
O13 O 0.8814 0.0644 0.7885
O14 O 0.9163 0.6626 0.9292
```

Calculated values
ΔE to the lowest computed polymorph (meV/atom): 83
Energy (Ha/atom): -0.2129
Total magnetization (μB per formula unit): 11.0

No. 6
Li7Mn2Co3O12: relaxed, PBE with a Hubbard U.

Structure (CIF):
```
data_Li7Mn2Co3O12
_chemical_formula_sum 'Li7 Mn2 Co3 O12'
_space_group_name_H-M_alt 'P 1'
_space_group_IT_number 1
_cell_length_a 3.0063
_cell_length_b 5.0107
_cell_length_c 14.4523
_cell_angle_alpha 87.63
_cell_angle_beta 88.75
_cell_angle_gamma 88.47
loop_
_space_group_symop_operation_xyz
'x,y,z'
loop_
_atom_site_label
_atom_site_type_symbol
_atom_site_fract_x
_atom_site_fract_y
_atom_site_fract_z
Li1 Li 0.0000 0.0000 0.0000
Li2 Li 0.0021 0.0005 0.5047
Li3 Li 0.0079 0.6667 0.8412
Li4 Li 0.4941 0.1559 0.8408
Li5 Li 0.4983 0.8427 0.1578
Li6 Li 0.5020 0.4998 0.5046
Li7 Li 0.9902 0.3312 0.1581
Mn1 Mn 0.4980 0.1672 0.3328
Mn2 Mn 0.9977 0.6670 0.3330
Co1 Co 0.0013 0.3321 0.6709
Co2 Co 0.4996 0.4996 0.0001
Co3 Co 0.5008 0.8315 0.6711
O1 O 0.0068 0.6557 0.5926
O2 O 0.0131 0.3525 0.9290
O3 O 0.0382 0.3406 0.4120
O4 O 0.4594 0.4949 0.2564
O5 O 0.4923 0.5057 0.7462
O6 O 0.4961 0.7939 0.9261
O7 O 0.5027 0.2048 0.0744
O8 O 0.5070 0.1544 0.5930
O9 O 0.5378 0.8417 0.4114
O10 O 0.9594 0.9921 0.2536
O11 O 0.9860 0.6473 0.0718
O12 O 0.9934 0.0083 0.7487
```

Calculated values
ΔE to the lowest computed polymorph (meV/atom): 106
Energy (Ha/atom): -0.2140
Total magnetization (μB per formula unit): 10.0

No. 7
Li6Mn3CoO10: relaxed, PBE with a Hubbard U.

Structure (CIF):
```
data_Li6Mn3CoO10
_chemical_formula_sum 'Li6 Mn3 Co1 O10'
_space_group_name_H-M_alt 'P 1'
_space_group_IT_number 1
_cell_length_a 5.0293
_cell_length_b 5.1863
_cell_length_c 7.6853
_cell_angle_alpha 103.77
_cell_angle_beta 107.25
_cell_angle_gamma 101.23
loop_
_space_group_symop_operation_xyz
'x,y,z'
loop_
_atom_site_label
_atom_site_type_symbol
_atom_site_fract_x
_atom_site_fract_y
_atom_site_fract_z
Li1 Li 0.0000 0.0000 0.0000
Li2 Li 0.0057 0.5057 0.5002
Li3 Li 0.1873 0.5087 0.9010
Li4 Li 0.3823 0.4910 0.2924
Li5 Li 0.6111 0.5052 0.7068
Li6 Li 0.8130 0.4960 0.0992
Mn1 Mn 0.4008 0.9925 0.8037
Mn2 Mn 0.5966 0.0073 0.1956
Mn3 Mn 0.8026 0.9990 0.6054
Co1 Co 0.1919 0.0081 0.3887
O1 O 0.0277 0.7549 0.7496
O2 O 0.2015 0.2095 0.6523
O3 O 0.2233 0.7709 0.1691
O4 O 0.4166 0.2205 0.0459
O5 O 0.4200 0.7720 0.5667
O6 O 0.5703 0.2320 0.4266
O7 O 0.5840 0.7811 0.9536
O8 O 0.7779 0.2328 0.8346
O9 O 0.8012 0.7920 0.3450
O10 O 0.9804 0.2389 0.2556
```

Calculated values
ΔE to the lowest computed polymorph (meV/atom): 8
Energy (Ha/atom): -0.2261
Total magnetization (μB per formula unit): 10.0

No. 8
Li7Mn2Co3O12: relaxed, PBE with a Hubbard U.

Structure (CIF):
```
data_Li7Mn2Co3O12
_chemical_formula_sum 'Li14 Mn4 Co6 O24'
_space_group_name_H-M_alt 'P 1'
_space_group_IT_number 1
_cell_length_a 2.9101
_cell_length_b 12.1164
_cell_length_c 12.6987
_cell_angle_alpha 107.22
_cell_angle_beta 90.15
_cell_angle_gamma 94.81
loop_
_space_group_symop_operation_xyz
'x,y,z'
loop_
_atom_site_label
_atom_site_type_symbol
_atom_site_fract_x
_atom_site_fract_y
_atom_site_fract_z
Li1 Li 0.0000 0.0000 0.0000
Li2 Li 0.0453 0.0853 0.6992
Li3 Li 0.1105 0.2436 0.1207
Li4 Li 0.2047 0.4187 0.5446
Li5 Li 0.2893 0.5819 0.9561
Li6 Li 0.3895 0.7594 0.3763
Li7 Li 0.4513 0.9169 0.8001
Li8 Li 0.4987 0.0015 0.4997
Li9 Li 0.5457 0.0857 0.1996
Li10 Li 0.6088 0.2428 0.6204
Li11 Li 0.7063 0.4199 0.0453
Li12 Li 0.7882 0.5839 0.4541
Li13 Li 0.8881 0.7589 0.8783
Li14 Li 0.9506 0.9169 0.3004
Mn1 Mn 0.0723 0.1641 0.4208
Mn2 Mn 0.4334 0.8385 0.0819
Mn3 Mn 0.5712 0.1633 0.9214
Mn4 Mn 0.9256 0.8385 0.5775
Co1 Co 0.1486 0.3330 0.8302
Co2 Co 0.2403 0.5019 0.2470
Co3 Co 0.3475 0.6689 0.6691
Co4 Co 0.6458 0.3344 0.3297
Co5 Co 0.7479 0.5012 0.7498
Co6 Co 0.8490 0.6693 0.1677
O1 O 0.0312 0.0579 0.8595
O2 O 0.0618 0.1314 0.5523
O3 O 0.0786 0.2158 0.2808
O4 O 0.1140 0.2791 0.9700
O5 O 0.1594 0.3862 0.6940
O6 O 0.2282 0.4551 0.3858
O7 O 0.2466 0.5487 0.1108
O8 O 0.3370 0.6165 0.8060
O9 O 0.3813 0.7222 0.5283
O10 O 0.4348 0.8682 0.9483
O11 O 0.4396 0.7877 0.2194
O12 O 0.4651 0.9435 0.6397
O13 O 0.5320 0.0588 0.3595
O14 O 0.5624 0.1306 0.0526
O15 O 0.5780 0.2149 0.7800
O16 O 0.6149 0.2806 0.4697
O17 O 0.6467 0.3855 0.1936
O18 O 0.7302 0.4519 0.8870
O19 O 0.7647 0.5501 0.6120
O20 O 0.8351 0.6193 0.2992
O21 O 0.8858 0.7204 0.0352
O22 O 0.9183 0.7869 0.7192
O23 O 0.9359 0.8714 0.4467
O24 O 0.9730 0.9441 0.1409
```

Calculated values
ΔE to the lowest computed polymorph (meV/atom): 38
Energy (Ha/atom): -0.2165
Total magnetization (μB per formula unit): 7.0

No. 9
Li4Mn3CoO8: relaxed, PBE with a Hubbard U.

Structure (CIF):
```
data_Li4Mn3CoO8
_chemical_formula_sum 'Li4 Mn3 Co1 O8'
_space_group_name_H-M_alt 'P -1'
_space_group_IT_number 2
_cell_length_a 3.0878
_cell_length_b 5.1361
_cell_length_c 10.1501
_cell_angle_alpha 101.15
_cell_angle_beta 93.95
_cell_angle_gamma 102.76
loop_
_space_group_symop_operation_xyz
'x,y,z'
'-x,-y,-z'
loop_
_atom_site_label
_atom_site_type_symbol
_atom_site_fract_x
_atom_site_fract_y
_atom_site_fract_z
Li1 Li 0.2362 0.4931 0.1240
Li2 Li 0.2492 0.4991 0.6254
Mn1 Mn 0.0121 0.0011 0.2481
Mn2 Mn 0.5000 0.0000 0.5000
Co1 Co 0.5000 0.0000 0.0000
O1 O 0.0862 0.2247 0.9341
O2 O 0.1487 0.2324 0.4309
O3 O 0.3441 0.7666 0.8211
O4 O 0.3599 0.7680 0.3177
```

Calculated values
ΔE to the lowest computed polymorph (meV/atom): 10
Energy (Ha/atom): -0.2342
Total magnetization (μB per formula unit): 12.0

No. 10
Li4Mn3CoO8: relaxed, PBE with a Hubbard U.

Structure (CIF):
```
data_Li4Mn3CoO8
_chemical_formula_sum 'Li4 Mn3 Co1 O8'
_space_group_name_H-M_alt 'P -1'
_space_group_IT_number 2
_cell_length_a 3.0305
_cell_length_b 5.1221
_cell_length_c 9.8473
_cell_angle_alpha 86.16
_cell_angle_beta 84.88
_cell_angle_gamma 86.12
loop_
_space_group_symop_operation_xyz
'x,y,z'
'-x,-y,-z'
loop_
_atom_site_label
_atom_site_type_symbol
_atom_site_fract_x
_atom_site_fract_y
_atom_site_fract_z
Li1 Li 0.1229 0.3734 0.2533
Li2 Li 0.3743 0.1249 0.7494
Mn1 Mn 0.0000 0.0000 0.5000
Mn2 Mn 0.2506 0.7492 0.9998
Co1 Co 0.5000 0.5000 0.5000
O1 O 0.0671 0.6860 0.3881
O2 O 0.1677 0.0518 0.1146
O3 O 0.3326 0.4469 0.8850
O4 O 0.4170 0.8179 0.6172
```

Calculated values
ΔE to the lowest computed polymorph (meV/atom): 19
Energy (Ha/atom): -0.2339
Total magnetization (μB per formula unit): 12.0

No. 11
Li7Mn2Co3O12: relaxed, PBE with a Hubbard U.

Structure (CIF):
```
data_Li7Mn2Co3O12
_chemical_formula_sum 'Li7 Mn2 Co3 O12'
_space_group_name_H-M_alt 'P -1'
_space_group_IT_number 2
_cell_length_a 2.9097
_cell_length_b 7.7587
_cell_length_c 9.7818
_cell_angle_alpha 92.94
_cell_angle_beta 97.79
_cell_angle_gamma 100.25
loop_
_space_group_symop_operation_xyz
'x,y,z'
'-x,-y,-z'
loop_
_atom_site_label
_atom_site_type_symbol
_atom_site_fract_x
_atom_site_fract_y
_atom_site_fract_z
Li1 Li 0.0000 0.0000 0.0000
Li2 Li 0.0822 0.4152 0.7457
Li3 Li 0.2392 0.2411 0.2457
Li4 Li 0.4108 0.0728 0.7559
Mn1 Mn 0.3316 0.6760 0.9957
Co1 Co 0.1673 0.8332 0.4982
Co2 Co 0.5000 0.5000 0.5000
O1 O 0.0738 0.2284 0.8906
O2 O 0.1361 0.6229 0.6134
O3 O 0.2025 0.0419 0.3844
O4 O 0.2754 0.4534 0.1066
O5 O 0.3647 0.8558 0.8820
O6 O 0.4625 0.2892 0.6175
```

Calculated values
ΔE to the lowest computed polymorph (meV/atom): 34
Energy (Ha/atom): -0.2166
Total magnetization (μB per formula unit): 6.0

No. 12
Li7Mn4CoO12: relaxed, PBE with a Hubbard U.

Structure (CIF):
```
data_Li7Mn4CoO12
_chemical_formula_sum 'Li7 Mn4 Co1 O12'
_space_group_name_H-M_alt 'P 1'
_space_group_IT_number 1
_cell_length_a 5.0980
_cell_length_b 5.9454
_cell_length_c 7.6818
_cell_angle_alpha 79.69
_cell_angle_beta 71.29
_cell_angle_gamma 89.77
loop_
_space_group_symop_operation_xyz
'x,y,z'
loop_
_atom_site_label
_atom_site_type_symbol
_atom_site_fract_x
_atom_site_fract_y
_atom_site_fract_z
Li1 Li 0.0000 0.0000 0.0000
Li2 Li 0.0001 0.3162 0.6707
Li3 Li 0.4874 0.0798 0.6688
Li4 Li 0.9717 0.1508 0.3456
Li5 Li 0.9766 0.6615 0.3432
Li6 Li 0.9795 0.8451 0.6705
Li7 Li 0.9939 0.4992 0.0019
Mn1 Mn 0.4813 0.4050 0.3432
Mn2 Mn 0.4860 0.7499 0.0018
Mn3 Mn 0.4906 0.2412 0.0048
Mn4 Mn 0.4916 0.5840 0.6692
Co1 Co 0.4788 0.9113 0.3463
O1 O 0.2430 0.9289 0.1615
O2 O 0.2468 0.1409 0.4874
O3 O 0.2564 0.5958 0.5111
O4 O 0.2655 0.7746 0.8365
O5 O 0.2708 0.4596 0.1629
O6 O 0.2716 0.3061 0.8387
O7 O 0.6985 0.6834 0.1738
O8 O 0.7082 0.3850 0.5024
O9 O 0.7162 0.2192 0.1749
O10 O 0.7174 0.0237 0.8637
O11 O 0.7172 0.8489 0.5125
O12 O 0.7194 0.5633 0.8320
```

Calculated values
ΔE to the lowest computed polymorph (meV/atom): 12
Energy (Ha/atom): -0.2292
Total magnetization (μB per formula unit): 16.0